(1)
First-principles (r²SCAN) data for a relaxed structure of Cs2PrCl5, as listed in the Materials Project.

Output
space-group type: Pnma

a b c (Å): 8.604 9.160 13.825
angles (deg): 90.00 90.00 90.00
Sites, in units of the cell vectors:
Cl (0.353, 0.250, 0.191)
Cl (0.613, 0.250, 0.828)
Cl (0.342, 0.958, 0.932)
Cl (0.158, 0.542, 0.432)
Cl (0.842, 0.042, 0.568)
Cl (0.158, 0.958, 0.432)
Cl (0.387, 0.750, 0.172)
Cl (0.342, 0.542, 0.932)
Cl (0.147, 0.250, 0.691)
Cl (0.842, 0.458, 0.568)
Cl (0.109, 0.250, 0.985)
Cl (0.887, 0.250, 0.328)
Cl (0.647, 0.750, 0.809)
Cl (0.391, 0.250, 0.485)
Cl (0.891, 0.750, 0.015)
Cl (0.658, 0.042, 0.068)
Cl (0.113, 0.750, 0.672)
Cl (0.658, 0.458, 0.068)
Cl (0.609, 0.750, 0.515)
Cl (0.853, 0.750, 0.309)
Cs (0.442, 0.995, 0.670)
Cs (0.058, 0.995, 0.170)
Cs (0.942, 0.495, 0.830)
Cs (0.058, 0.505, 0.170)
Cs (0.558, 0.495, 0.330)
Cs (0.558, 0.005, 0.330)
Cs (0.942, 0.005, 0.830)
Cs (0.442, 0.505, 0.670)
Pr (0.934, 0.750, 0.504)
Pr (0.434, 0.250, 0.996)
Pr (0.066, 0.250, 0.496)
Pr (0.566, 0.750, 0.004)

***

(2)
First-principles (r²SCAN) data for a relaxed structure of Cs2PtCl4, as listed in the Materials Project.

a b c (Å): 7.447 7.447 9.478
angles (deg): 90.00 90.00 89.99
Sites, in units of the cell vectors:
Cl (0.220, 0.220, 0.500)
Cl (0.780, 0.220, 0.500)
Cl (0.780, 0.780, 0.500)
Cl (0.780, 0.220, 0.000)
Cl (0.220, 0.220, 0.000)
Cl (0.220, 0.780, 0.500)
Cl (0.220, 0.780, 0.000)
Cl (0.780, 0.780, 0.000)
Cs (0.000, 0.500, 0.250)
Cs (0.000, 0.500, 0.750)
Cs (0.500, 0.000, 0.750)
Cs (0.500, 0.000, 0.250)
Pt (0.000, 0.000, 0.500)
Pt (0.000, 0.000, 0.000)

***

Record order is preserved below.
Energy relative to the elements: -2441, -1535 meV/atom